## Dy2Al3Fe (PBE)

Data for Dy2Al3Fe after structural relaxation.

The structure in POSCAR format:
```
Dy2Al3Fe
1.0
4.637 -2.747 0.000
4.637 2.747 0.000
3.010 0.000 4.471
Dy Al Fe
2 3 1
direct
0.626 0.626 0.626 Dy
0.374 0.374 0.374 Dy
0.000 0.500 0.000 Al
0.500 0.000 0.000 Al
0.000 0.000 0.500 Al
0.000 0.000 0.000 Fe
```

- Volume: 18.99 Å³/atom
- Space group: R-3m
- Formation enthalpy at 0 K: -401 meV per atom


## Dy5Mg5Al12Fe4Si6 (PBE)

Data for Dy5Mg5Al12Fe4Si6 after structural relaxation.

The structure in POSCAR format:
```
Dy5Mg5Al12Fe4Si6
1.0
11.883 0.000 0.000
0.000 11.883 0.000
0.000 0.000 3.993
Dy Mg Al Fe Si
5 5 12 4 6
direct
0.252 0.500 0.000 Dy
0.748 0.500 0.000 Dy
0.500 0.748 0.000 Dy
0.500 0.252 0.000 Dy
0.000 0.000 0.000 Dy
0.202 0.202 0.000 Mg
0.798 0.798 0.000 Mg
0.202 0.798 0.000 Mg
0.798 0.202 0.000 Mg
0.500 0.500 0.500 Mg
0.112 0.373 0.500 Al
0.888 0.627 0.500 Al
0.112 0.627 0.500 Al
0.888 0.373 0.500 Al
0.373 0.888 0.500 Al
0.627 0.112 0.500 Al
0.373 0.112 0.500 Al
0.627 0.888 0.500 Al
0.332 0.332 0.500 Al
0.668 0.668 0.500 Al
0.332 0.668 0.500 Al
0.668 0.332 0.500 Al
0.305 0.000 0.000 Fe
0.695 0.000 0.000 Fe
0.000 0.695 0.000 Fe
0.000 0.305 0.000 Fe
0.188 0.000 0.500 Si
0.812 0.000 0.500 Si
0.000 0.812 0.500 Si
0.000 0.188 0.500 Si
0.000 0.500 0.000 Si
0.500 0.000 0.000 Si
```

- MP2020-corrected energy: -4.809 eV per atom
- Magnetic moment: 0.05 Bohr magnetons per cell
- Volume: 17.62 Å³/atom
- Space group: P4/mmm
- Formation enthalpy at 0 K: -359 meV per atom


## DyAlGa (PBE)

Data for DyAlGa after structural relaxation.

The structure in POSCAR format:
```
DyAlGa
1.0
1.835 1.751 3.649
-2.283 -3.804 0.267
3.014 -1.853 -0.626
Dy Al Ga
1 1 1
direct
0.000 0.000 0.000 Dy
0.333 0.667 0.500 Al
0.667 0.333 0.500 Ga
```

- Volume: 20.49 Å³/atom
- Space group: P-6m2
- Formation enthalpy at 0 K: -568 meV per atom